[1]
Below is a geometry-optimized ZnRe2O8 structure, with properties calculated at the PBE level. Values from VASP.

Cell and atoms, written as Quantum ESPRESSO input:
```
&SYSTEM
  ibrav = 0, nat = 11, ntyp = 3
/
ATOMIC_SPECIES
Zn 65.41 Zn.upf
Re 186.21 Re.upf
O 16.00 O.upf
CELL_PARAMETERS angstrom
5.8115 0.0000 0.0000
-2.9057 5.0329 0.0000
0.0000 0.0000 6.7235
ATOMIC_POSITIONS crystal
Zn 0.0000 0.0000 0.0000
Re 0.3333 0.6667 0.2665
Re 0.6667 0.3333 0.7335
O 0.1534 0.3376 0.1799
O 0.1843 0.8466 0.1799
O 0.3333 0.6667 0.5243
O 0.3376 0.1843 0.8201
O 0.6624 0.8157 0.1799
O 0.6667 0.3333 0.4757
O 0.8157 0.1534 0.8201
O 0.8466 0.6624 0.8201
```

Summary:
Its formation energy is -2.102 eV per atom.

***

[2]
Below is a geometry-optimized Sr3SmRhO6 structure, with properties calculated at the PBE level. Values from VASP.

Cell and atoms, written as Quantum ESPRESSO input:
```
&SYSTEM
  ibrav = 0, nat = 22, ntyp = 4
/
ATOMIC_SPECIES
Sr 87.62 Sr.upf
Sm 150.36 Sm.upf
Rh 102.91 Rh.upf
O 16.00 O.upf
CELL_PARAMETERS angstrom
4.9584 2.8627 3.8533
-4.9584 2.8627 3.8533
0.0000 -5.7255 3.8533
ATOMIC_POSITIONS crystal
Sr 0.1191 0.7500 0.3809
Sr 0.2500 0.6191 0.8809
Sr 0.3809 0.1191 0.7500
Sr 0.6191 0.8809 0.2500
Sr 0.7500 0.3809 0.1191
Sr 0.8809 0.2500 0.6191
Sm 0.2500 0.2500 0.2500
Sm 0.7500 0.7500 0.7500
Rh 0.0000 0.0000 0.0000
Rh 0.5000 0.5000 0.5000
O 0.0482 0.9136 0.7084
O 0.0864 0.2916 0.9518
O 0.2084 0.4136 0.5482
O 0.2916 0.9518 0.0864
O 0.4136 0.5482 0.2084
O 0.4518 0.7916 0.5864
O 0.5482 0.2084 0.4136
O 0.5864 0.4518 0.7916
O 0.7084 0.0482 0.9136
O 0.7916 0.5864 0.4518
O 0.9136 0.7084 0.0482
O 0.9518 0.0864 0.2916
```

Summary:
Its formation energy is -2.880 eV per atom.

***

[3]
Below is a geometry-optimized Sr2RhO4 structure, with properties calculated at the PBE level. Values from VASP.

Cell and atoms, written as Quantum ESPRESSO input:
```
&SYSTEM
  ibrav = 0, nat = 28, ntyp = 3
/
ATOMIC_SPECIES
Sr 87.62 Sr.upf
Rh 102.91 Rh.upf
O 16.00 O.upf
CELL_PARAMETERS angstrom
3.9243 -3.9285 0.0000
3.9243 3.9285 0.0000
-3.6915 0.0000 12.9894
ATOMIC_POSITIONS crystal
Sr 0.0427 0.7942 0.6022
Sr 0.2058 0.9573 0.8978
Sr 0.2905 0.5430 0.1025
Sr 0.4570 0.7095 0.3975
Sr 0.5430 0.2905 0.6025
Sr 0.7095 0.4570 0.8975
Sr 0.7942 0.0427 0.1022
Sr 0.9573 0.2058 0.3978
Rh 0.1258 0.3751 0.7500
Rh 0.3751 0.1258 0.2500
Rh 0.6249 0.8742 0.7500
Rh 0.8742 0.6249 0.2500
O 0.0627 0.2939 0.5900
O 0.0735 0.9265 0.2500
O 0.1816 0.4313 0.2606
O 0.1909 0.4591 0.9101
O 0.2939 0.0627 0.0900
O 0.3217 0.6783 0.7500
O 0.4313 0.1816 0.7606
O 0.4591 0.1909 0.4101
O 0.5409 0.8091 0.5899
O 0.5687 0.8184 0.2394
O 0.6783 0.3217 0.2500
O 0.7061 0.9373 0.9100
O 0.8091 0.5409 0.0899
O 0.8184 0.5687 0.7394
O 0.9265 0.0735 0.7500
O 0.9373 0.7061 0.4100
```

Summary:
As for the energy above the most stable polymorph in this dataset: 5.0 meV/atom. Its formation energy is -2.361 eV per atom.

***

[4]
Below is a geometry-optimized Sr2RhO4 structure, with properties calculated at the PBE level. Values from VASP.

Cell and atoms, written as Quantum ESPRESSO input:
```
&SYSTEM
  ibrav = 0, nat = 56, ntyp = 3
/
ATOMIC_SPECIES
Sr 87.62 Sr.upf
Rh 102.91 Rh.upf
O 16.00 O.upf
CELL_PARAMETERS angstrom
5.5493 0.0000 0.0000
0.0020 5.5512 0.0000
0.0862 0.0695 26.0471
ATOMIC_POSITIONS crystal
Sr 0.0000 0.0000 0.0000
Sr 0.9998 0.0033 0.8521
Sr 0.9996 0.5007 0.7495
Sr 0.0007 0.0134 0.3518
Sr 0.0099 0.5142 0.2502
Sr 0.4884 0.0011 0.6017
Sr 0.4923 0.4988 0.8521
Sr 0.4946 0.5077 0.4998
Sr 0.4968 0.0052 0.1027
Sr 0.5036 0.5094 0.9999
Sr 0.5049 0.0072 0.7494
Sr 0.5064 0.0057 0.2503
Sr 0.5121 0.5097 0.3522
Sr 0.9894 0.0069 0.4993
Sr 0.9932 0.4959 0.1028
Sr 0.9964 0.5070 0.6016
Rh 0.9998 0.5018 0.9261
Rh 0.0015 0.0044 0.1766
Rh 0.0015 0.5069 0.4257
Rh 0.4979 0.0068 0.4258
Rh 0.4983 0.5037 0.6756
Rh 0.5005 0.0028 0.9259
Rh 0.5014 0.5043 0.1766
Rh 0.9975 0.0034 0.6755
O 0.0025 0.5112 0.5055
O 0.0034 0.9980 0.5954
O 0.0039 0.9944 0.2564
O 0.0086 0.4973 0.8460
O 0.1941 0.2027 0.4265
O 0.1954 0.3061 0.6748
O 0.1977 0.8055 0.9257
O 0.1992 0.7021 0.1728
O 0.2990 0.8056 0.6784
O 0.3029 0.3049 0.9289
O 0.3039 0.2015 0.1780
O 0.3036 0.7025 0.4243
O 0.4924 0.0096 0.8459
O 0.4932 0.5131 0.5956
O 0.4943 0.5178 0.2565
O 0.4997 0.0064 0.5058
O 0.5006 0.0167 0.3459
O 0.5038 0.4945 0.7557
O 0.5042 0.9921 0.0061
O 0.5077 0.4902 0.0965
O 0.6952 0.2015 0.6727
O 0.6970 0.3102 0.4276
O 0.6980 0.7000 0.9230
O 0.6986 0.8069 0.1752
O 0.8002 0.7012 0.6763
O 0.8020 0.8097 0.4243
O 0.8031 0.3066 0.1805
O 0.8035 0.1997 0.9265
O 0.9907 0.0104 0.7557
O 0.9934 0.5022 0.3458
O 0.9943 0.5126 0.0062
O 0.9988 0.0158 0.0965
```

Summary:
As for the energy above the most stable polymorph in this dataset: 4.0 meV/atom. Its formation energy is -2.362 eV per atom.

***

[5]
Below is a geometry-optimized SrRhO3 structure, with properties calculated at the PBE level. Values from VASP.

Cell and atoms, written as Quantum ESPRESSO input:
```
&SYSTEM
  ibrav = 0, nat = 5, ntyp = 3
/
ATOMIC_SPECIES
Sr 87.62 Sr.upf
Rh 102.91 Rh.upf
O 16.00 O.upf
CELL_PARAMETERS angstrom
4.0045 0.0000 0.0000
0.0000 4.0045 0.0000
0.0000 0.0000 4.0045
ATOMIC_POSITIONS crystal
Sr 0.0000 0.0000 0.0000
Rh 0.5000 0.5000 0.5000
O 0.0000 0.5000 0.5000
O 0.5000 0.0000 0.5000
O 0.5000 0.5000 0.0000
```

Summary:
Its formation energy is -1.929 eV per atom.

***

[6]
Below is a geometry-optimized SrRhO3 structure, with properties calculated at the PBE level. Values from VASP.

Cell and atoms, written as Quantum ESPRESSO input:
```
&SYSTEM
  ibrav = 0, nat = 20, ntyp = 3
/
ATOMIC_SPECIES
Sr 87.62 Sr.upf
Rh 102.91 Rh.upf
O 16.00 O.upf
CELL_PARAMETERS angstrom
5.6686 0.0000 0.0000
0.0000 7.9677 0.0000
0.0000 0.0000 5.5798
ATOMIC_POSITIONS crystal
Sr 0.0447 0.2500 0.0083
Sr 0.4553 0.7500 0.5083
Sr 0.5447 0.2500 0.4917
Sr 0.9553 0.7500 0.9917
Rh 0.0000 0.0000 0.5000
Rh 0.0000 0.5000 0.5000
Rh 0.5000 0.0000 0.0000
Rh 0.5000 0.5000 0.0000
O 0.0132 0.7500 0.4269
O 0.2048 0.5376 0.7966
O 0.2048 0.9624 0.7966
O 0.2952 0.0376 0.2966
O 0.2952 0.4624 0.2966
O 0.4868 0.2500 0.9269
O 0.5132 0.7500 0.0731
O 0.7048 0.5376 0.7034
O 0.7048 0.9624 0.7034
O 0.7952 0.0376 0.2034
O 0.7952 0.4624 0.2034
O 0.9868 0.2500 0.5731
```

Summary:
Its formation energy is -2.016 eV per atom.

***

[7]
Below is a geometry-optimized Sr2RhO4 structure, with properties calculated at the PBE level. Values from VASP.

Cell and atoms, written as Quantum ESPRESSO input:
```
&SYSTEM
  ibrav = 0, nat = 7, ntyp = 3
/
ATOMIC_SPECIES
Sr 87.62 Sr.upf
Rh 102.91 Rh.upf
O 16.00 O.upf
CELL_PARAMETERS angstrom
-1.9754 1.9754 6.3716
1.9754 -1.9754 6.3716
1.9754 1.9754 -6.3716
ATOMIC_POSITIONS crystal
Sr 0.1455 0.1455 0.0000
Sr 0.8545 0.8545 0.0000
Rh 0.5000 0.5000 0.0000
O 0.0000 0.5000 0.5000
O 0.3369 0.3369 0.0000
O 0.5000 0.0000 0.5000
O 0.6631 0.6631 0.0000
```

Summary:
As for the energy above the most stable polymorph in this dataset: 25.7 meV/atom. Its formation energy is -2.341 eV per atom.